Nb2CS: optimized geometry, PBE.

Summary:
The calculation puts the formation energy at -85 kJ/mol of atoms. As for the spin magnetization: 0.00 μB per formula unit.

Cell lengths 3.344, 3.344, 11.581 Å; angles 90.00, 90.00, 120.00 degrees
Atoms (fractional coordinates):
Nb  0.333  0.667  0.095
Nb  0.333  0.667  0.405
Nb  0.667  0.333  0.595
Nb  0.667  0.333  0.905
C  0.000  0.000  0.000
C  0.000  0.000  0.500
S  0.333  0.667  0.750
S  0.667  0.333  0.250

=====

LaAlAu: optimized geometry, PBE.

Summary:
The calculation puts the formation energy at -71 kJ/mol of atoms.

Cell lengths 7.730, 4.661, 7.777 Å; angles 90.00, 90.00, 90.00 degrees
Atoms (fractional coordinates):
La  0.010  0.250  0.191
La  0.490  0.750  0.691
La  0.510  0.250  0.309
La  0.990  0.750  0.809
Al  0.165  0.250  0.578
Al  0.335  0.750  0.078
Al  0.665  0.250  0.922
Al  0.835  0.750  0.422
Au  0.200  0.750  0.404
Au  0.300  0.250  0.904
Au  0.700  0.750  0.096
Au  0.800  0.250  0.596